Entry 1:
A plane-wave DFT calculation with PBE with a Hubbard U was carried out for FeHO2 after structural relaxation.

extended XYZ file:
```
16
Lattice="2.635 0.000 0.000 0.000 15.109 0.000 0.000 0.000 4.050" Properties=species:S:1:pos:R:3 pbc="T T T"
Fe 0.000 2.834 0.000
Fe 0.000 12.275 2.025
Fe 1.318 4.721 2.025
Fe 1.318 10.388 0.000
H 0.000 0.850 3.968
H 0.000 14.258 1.943
H 1.318 6.704 1.943
H 1.318 8.405 3.968
O 0.000 3.224 2.020
O 0.000 6.306 1.977
O 0.000 8.803 4.002
O 0.000 11.884 4.045
O 1.318 1.249 4.002
O 1.318 4.330 4.045
O 1.318 10.779 2.020
O 1.318 13.860 1.977
```

* E (MP2020): -6.43 eV per atom
* energy of formation: -22.86 kcal/mol of atoms
* raw total energy: -5.524 eV per atom



Entry 2:
A plane-wave DFT calculation with PBE with a Hubbard U was carried out for FeHO2 after structural relaxation.

extended XYZ file:
```
64
Lattice="5.738 0.000 0.000 0.182 11.244 0.000 0.015 0.950 11.779" Properties=species:S:1:pos:R:3 pbc="T T T"
Fe 0.000 0.000 0.000
Fe 0.128 7.315 3.635
Fe 1.282 2.428 9.638
Fe 1.432 5.279 5.560
Fe 1.611 7.005 0.339
Fe 1.747 10.890 3.096
Fe 2.541 1.972 6.515
Fe 2.677 5.767 8.646
Fe 2.772 7.655 3.640
Fe 3.014 11.666 11.717
Fe 4.152 5.311 5.515
Fe 4.280 2.663 9.571
Fe 4.484 10.843 3.088
Fe 4.445 7.046 0.223
Fe 5.508 5.789 8.607
Fe 5.640 2.053 6.439
H 0.150 6.246 10.995
H 0.320 9.181 2.157
H 0.508 4.708 3.323
H 0.948 11.585 5.139
H 1.270 7.798 6.065
H 1.260 3.998 7.808
H 1.476 10.940 9.646
H 2.678 3.285 11.710
H 3.109 8.732 1.239
H 3.355 6.605 10.610
H 3.892 0.783 5.045
H 4.151 11.245 9.454
H 4.144 5.906 2.425
H 4.128 3.782 7.210
H 4.202 7.757 5.887
H 5.552 9.844 10.831
O 0.168 9.401 3.107
O 0.042 0.629 3.393
O 0.137 5.237 4.061
O 1.223 6.840 8.982
O 1.137 0.613 6.018
O 1.255 4.385 8.740
O 1.280 3.410 6.128
O 1.431 7.375 5.200
O 1.489 7.198 2.228
O 1.556 11.554 10.402
O 1.665 10.907 1.246
O 2.686 2.014 8.449
O 2.759 5.633 6.829
O 2.739 2.623 10.984
O 2.818 5.130 4.302
O 3.062 9.538 3.312
O 2.937 0.752 3.452
O 3.114 8.488 0.279
O 3.097 6.726 11.567
O 4.091 6.909 8.971
O 4.141 4.474 8.878
O 4.091 0.834 6.016
O 4.149 3.438 6.265
O 4.257 7.305 5.019
O 4.293 6.870 2.308
O 4.404 11.497 10.362
O 4.394 10.898 1.128
O 5.636 5.659 6.639
O 5.713 2.695 10.973
O 5.714 1.976 8.377
O 5.843 9.196 11.514
O 5.805 5.718 0.106
```

* E (MP2020): -6.71 eV per atom
* energy of formation: -29.32 kcal/mol of atoms
* raw total energy: -5.804 eV per atom



Entry 3:
A plane-wave DFT calculation with PBE with a Hubbard U was carried out for FeHO2 after structural relaxation.

extended XYZ file:
```
16
Lattice="14.233 0.000 0.000 0.000 2.981 0.000 0.000 0.000 5.203" Properties=species:S:1:pos:R:3 pbc="T T T"
Fe 2.630 0.745 0.012
Fe 4.486 2.236 2.614
Fe 9.747 0.745 2.589
Fe 11.602 2.236 5.191
H 0.563 2.236 4.898
H 6.553 0.745 2.296
H 7.680 2.236 2.907
H 13.669 0.745 0.305
O 1.248 2.236 0.394
O 3.405 2.236 4.176
O 3.712 0.745 1.574
O 5.868 0.745 2.995
O 8.364 2.236 2.208
O 10.521 2.236 3.629
O 10.828 0.745 1.027
O 12.985 0.745 4.809
```

* E (MP2020): -6.82 eV per atom
* energy of formation: -31.76 kcal/mol of atoms
* raw total energy: -5.909 eV per atom



What did the first record say?
A plane-wave DFT calculation with PBE with a Hubbard U was carried out for FeHO2 after structural relaxation.

extended XYZ file:
```
16
Lattice="2.635 0.000 0.000 0.000 15.109 0.000 0.000 0.000 4.050" Properties=species:S:1:pos:R:3 pbc="T T T"
Fe 0.000 2.834 0.000
Fe 0.000 12.275 2.025
Fe 1.318 4.721 2.025
Fe 1.318 10.388 0.000
H 0.000 0.850 3.968
H 0.000 14.258 1.943
H 1.318 6.704 1.943
H 1.318 8.405 3.968
O 0.000 3.224 2.020
O 0.000 6.306 1.977
O 0.000 8.803 4.002
O 0.000 11.884 4.045
O 1.318 1.249 4.002
O 1.318 4.330 4.045
O 1.318 10.779 2.020
O 1.318 13.860 1.977
```

* E (MP2020): -6.43 eV per atom
* energy of formation: -22.86 kcal/mol of atoms
* raw total energy: -5.524 eV per atom